No. 1
## FeBW (PBE)

Data for a relaxed structure of FeBW.

a b c (Å): 5.784 3.216 6.740
angles (deg): 90.00 90.00 90.00
Fractional coordinates of all 12 atoms:
Fe1 0.143 0.250 0.057
Fe2 0.357 0.750 0.557
Fe3 0.643 0.250 0.443
Fe4 0.857 0.750 0.943
B1 0.233 0.750 0.867
B2 0.267 0.250 0.367
B3 0.733 0.750 0.633
B4 0.767 0.250 0.133
W1 0.030 0.250 0.676
W2 0.470 0.750 0.176
W3 0.530 0.250 0.824
W4 0.970 0.750 0.324

Values from the calculation:
- E (eV/atom) = -9.733
- volume (Å³ per cell) = 125.4
- calculated formation energy (eV per atom) = -0.363

No. 2
## FeB2W2 (PBE)

Data for a relaxed structure of FeB2W2.

a b c (Å): 3.178 4.584 7.167
angles (deg): 90.00 90.00 90.00
Fractional coordinates of all 10 atoms:
Fe1 0.000 0.000 0.000
Fe2 0.500 0.500 0.500
B1 0.000 0.206 0.500
B2 0.000 0.794 0.500
B3 0.500 0.294 0.000
B4 0.500 0.706 0.000
W1 0.000 0.500 0.203
W2 0.000 0.500 0.797
W3 0.500 0.000 0.297
W4 0.500 0.000 0.703

Values from the calculation:
- E (eV/atom) = -9.976
- volume (Å³ per cell) = 104.4
- calculated formation energy (eV per atom) = -0.427

No. 3
## Fe22B6W (PBE)

Data for a relaxed structure of Fe22B6W.

a b c (Å): 7.503 7.503 7.503
angles (deg): 60.00 60.00 60.00
Fractional coordinates of all 29 atoms:
Fe1 0.000 0.000 0.000
Fe2 0.000 0.000 0.342
Fe3 0.000 0.000 0.658
Fe4 0.000 0.342 0.000
Fe5 0.000 0.342 0.658
Fe6 0.000 0.658 0.000
Fe7 0.000 0.658 0.342
Fe8 0.149 0.617 0.617
Fe9 0.250 0.250 0.250
Fe10 0.342 0.000 0.000
Fe11 0.342 0.000 0.658
Fe12 0.342 0.658 0.000
Fe13 0.380 0.380 0.380
Fe14 0.380 0.380 0.859
Fe15 0.380 0.859 0.380
Fe16 0.617 0.149 0.617
Fe17 0.617 0.617 0.149
Fe18 0.617 0.617 0.617
Fe19 0.658 0.000 0.000
Fe20 0.658 0.000 0.342
Fe21 0.658 0.342 0.000
Fe22 0.859 0.380 0.380
B1 0.276 0.276 0.724
B2 0.276 0.724 0.276
B3 0.276 0.724 0.724
B4 0.724 0.276 0.276
B5 0.724 0.276 0.724
B6 0.724 0.724 0.276
W1 0.750 0.750 0.750

Values from the calculation:
- E (eV/atom) = -8.303
- volume (Å³ per cell) = 298.7
- calculated formation energy (eV per atom) = -0.049

No. 4
## FeB2W2 (PBE)

Data for a relaxed structure of FeB2W2.

a b c (Å): 5.691 5.691 3.234
angles (deg): 90.00 90.00 90.00
Fractional coordinates of all 10 atoms:
Fe1 0.000 0.000 0.000
Fe2 0.500 0.500 0.000
B1 0.116 0.384 0.000
B2 0.384 0.884 0.000
B3 0.616 0.116 0.000
B4 0.884 0.616 0.000
W1 0.178 0.678 0.500
W2 0.322 0.178 0.500
W3 0.678 0.822 0.500
W4 0.822 0.322 0.500

Values from the calculation:
- E (eV/atom) = -9.926
- volume (Å³ per cell) = 104.7
- calculated formation energy (eV per atom) = -0.377

No. 5
## Y2Fe14B (PBE)

Data for a relaxed structure of Y2Fe14B.

a b c (Å): 8.736 8.736 11.920
angles (deg): 90.00 90.00 90.00
Fractional coordinates of all 68 atoms:
Y1 0.143 0.143 0.000
Y2 0.233 0.233 0.500
Y3 0.267 0.733 0.000
Y4 0.357 0.643 0.500
Y5 0.643 0.357 0.500
Y6 0.733 0.267 0.000
Y7 0.767 0.767 0.500
Y8 0.857 0.857 0.000
Fe1 0.000 0.000 0.384
Fe2 0.000 0.000 0.616
Fe3 0.000 0.500 0.000
Fe4 0.000 0.500 0.500
Fe5 0.037 0.641 0.175
Fe6 0.037 0.641 0.825
Fe7 0.066 0.725 0.374
Fe8 0.066 0.725 0.626
Fe9 0.097 0.903 0.201
Fe10 0.097 0.903 0.799
Fe11 0.141 0.463 0.325
Fe12 0.141 0.463 0.675
Fe13 0.183 0.183 0.254
Fe14 0.183 0.183 0.746
Fe15 0.225 0.434 0.126
Fe16 0.225 0.434 0.874
Fe17 0.275 0.934 0.374
Fe18 0.275 0.934 0.626
Fe19 0.317 0.683 0.246
Fe20 0.317 0.683 0.754
Fe21 0.359 0.963 0.175
Fe22 0.359 0.963 0.825
Fe23 0.403 0.403 0.299
Fe24 0.403 0.403 0.701
Fe25 0.434 0.225 0.126
Fe26 0.434 0.225 0.874
Fe27 0.463 0.141 0.325
Fe28 0.463 0.141 0.675
Fe29 0.500 0.000 0.000
Fe30 0.500 0.000 0.500
Fe31 0.500 0.500 0.116
Fe32 0.500 0.500 0.884
Fe33 0.537 0.859 0.325
Fe34 0.537 0.859 0.675
Fe35 0.566 0.775 0.126
Fe36 0.566 0.775 0.874
Fe37 0.597 0.597 0.299
Fe38 0.597 0.597 0.701
Fe39 0.641 0.037 0.175
Fe40 0.641 0.037 0.825
Fe41 0.683 0.317 0.246
Fe42 0.683 0.317 0.754
Fe43 0.725 0.066 0.374
Fe44 0.725 0.066 0.626
Fe45 0.775 0.566 0.126
Fe46 0.775 0.566 0.874
Fe47 0.817 0.817 0.254
Fe48 0.817 0.817 0.746
Fe49 0.859 0.537 0.325
Fe50 0.859 0.537 0.675
Fe51 0.903 0.097 0.201
Fe52 0.903 0.097 0.799
Fe53 0.934 0.275 0.374
Fe54 0.934 0.275 0.626
Fe55 0.963 0.359 0.175
Fe56 0.963 0.359 0.825
B1 0.125 0.875 0.500
B2 0.375 0.375 0.000
B3 0.625 0.625 0.000
B4 0.875 0.125 0.500

Values from the calculation:
- E (eV/atom) = -8.238
- volume (Å³ per cell) = 909.7
- calculated formation energy (eV per atom) = -0.109

No. 6
## Y4Fe3B6 (PBE)

Data for a relaxed structure of Y4Fe3B6.

a b c (Å): 7.950 7.950 7.950
angles (deg): 39.29 39.29 39.29
Fractional coordinates of all 13 atoms:
Y1 0.088 0.088 0.088
Y2 0.244 0.244 0.244
Y3 0.756 0.756 0.756
Y4 0.912 0.912 0.912
Fe1 0.387 0.387 0.387
Fe2 0.500 0.500 0.500
Fe3 0.613 0.613 0.613
B1 0.000 0.333 0.667
B2 0.000 0.667 0.333
B3 0.333 0.000 0.667
B4 0.333 0.667 0.000
B5 0.667 0.000 0.333
B6 0.667 0.333 0.000

Values from the calculation:
- E (eV/atom) = -7.413
- volume (Å³ per cell) = 181.3
- calculated formation energy (eV per atom) = -0.386

No. 7
## Y3FeB7 (PBE)

Data for a relaxed structure of Y3FeB7.

a b c (Å): 8.050 8.050 9.315
angles (deg): 90.00 90.00 155.46
Fractional coordinates of all 22 atoms:
Y1 0.105 0.895 0.561
Y2 0.105 0.895 0.939
Y3 0.243 0.757 0.250
Y4 0.757 0.243 0.750
Y5 0.895 0.105 0.061
Y6 0.895 0.105 0.439
Fe1 0.054 0.946 0.250
Fe2 0.946 0.054 0.750
B1 0.272 0.728 0.533
B2 0.272 0.728 0.967
B3 0.370 0.630 0.653
B4 0.370 0.630 0.847
B5 0.461 0.539 0.250
B6 0.478 0.522 0.599
B7 0.478 0.522 0.901
B8 0.522 0.478 0.099
B9 0.522 0.478 0.401
B10 0.539 0.461 0.750
B11 0.630 0.370 0.153
B12 0.630 0.370 0.347
B13 0.728 0.272 0.033
B14 0.728 0.272 0.467

Values from the calculation:
- E (eV/atom) = -7.374
- volume (Å³ per cell) = 250.7
- calculated formation energy (eV per atom) = -0.590

No. 8
## Y2FeB (PBE)

Data for a relaxed structure of Y2FeB.

a b c (Å): 6.452 6.452 6.452
angles (deg): 90.00 90.00 90.00
Fractional coordinates of all 16 atoms:
Y1 0.000 0.000 0.000
Y2 0.000 0.500 0.500
Y3 0.250 0.250 0.250
Y4 0.250 0.750 0.750
Y5 0.500 0.000 0.500
Y6 0.500 0.500 0.000
Y7 0.750 0.250 0.750
Y8 0.750 0.750 0.250
Fe1 0.000 0.000 0.500
Fe2 0.000 0.500 0.000
Fe3 0.500 0.000 0.000
Fe4 0.500 0.500 0.500
B1 0.250 0.250 0.750
B2 0.250 0.750 0.250
B3 0.750 0.250 0.250
B4 0.750 0.750 0.750

Values from the calculation:
- E (eV/atom) = -6.363
- volume (Å³ per cell) = 268.6
- calculated formation energy (eV per atom) = 0.658

No. 9
## KGaBP2H3O10 (PBE)

Data for a relaxed structure of KGaBP2H3O10.

a b c (Å): 7.190 8.327 8.541
angles (deg): 75.04 75.34 72.70
Fractional coordinates of all 36 atoms:
K1 0.000 0.000 0.000
K2 0.494 0.645 0.236
Ga1 0.203 0.270 0.139
Ga2 0.949 0.789 0.587
B1 0.022 0.297 0.614
B2 0.508 0.314 0.612
P1 0.243 0.313 0.416
P2 0.287 0.281 0.815
P3 0.719 0.121 0.707
P4 0.811 0.487 0.521
H1 0.180 0.497 0.374
H2 0.254 0.783 0.615
H3 0.345 0.099 0.828
H4 0.667 0.134 0.877
H5 0.777 0.269 0.142
H6 0.846 0.481 0.351
O1 0.003 0.936 0.367
O2 0.074 0.326 0.754
O3 0.119 0.825 0.273
O4 0.143 0.541 0.088
O5 0.183 0.688 0.646
O6 0.320 0.977 0.558
O7 0.387 0.040 0.124
O8 0.394 0.777 0.905
O9 0.450 0.307 0.466
O10 0.484 0.639 0.863
O11 0.587 0.994 0.163
O12 0.592 0.463 0.589
O13 0.605 0.112 0.246
O14 0.630 0.268 0.122
O15 0.739 0.931 0.708
O16 0.802 0.672 0.530
O17 0.870 0.557 0.983
O18 0.942 0.143 0.651
O19 0.947 0.629 0.062
O20 0.952 0.248 0.182

Values from the calculation:
- E (eV/atom) = -5.176
- volume (Å³ per cell) = 463.0
- calculated formation energy (eV per atom) = -1.041

No. 10
## LiGaBH3O5 (PBE)

Data for a relaxed structure of LiGaBH3O5.

a b c (Å): 4.864 4.864 12.291
angles (deg): 90.00 90.00 119.82
Fractional coordinates of all 22 atoms:
Li1 0.000 0.000 0.000
Li2 0.000 0.000 0.500
Ga1 0.333 0.667 0.614
Ga2 0.667 0.333 0.114
B1 0.334 0.667 0.062
B2 0.667 0.334 0.562
H1 0.107 0.220 0.810
H2 0.107 0.889 0.810
H3 0.220 0.107 0.310
H4 0.535 0.768 0.793
H5 0.768 0.535 0.293
H6 0.889 0.107 0.310
O1 0.049 0.388 0.061
O2 0.315 0.657 0.765
O3 0.340 0.954 0.061
O4 0.388 0.049 0.561
O5 0.615 0.662 0.061
O6 0.657 0.315 0.265
O7 0.662 0.615 0.561
O8 0.954 0.340 0.561
O9 0.993 0.998 0.838
O10 0.998 0.993 0.338

Values from the calculation:
- E (eV/atom) = -5.975
- volume (Å³ per cell) = 252.3
- calculated formation energy (eV per atom) = -2.056

No. 11
## Na4Ga3Si3BH4O12 (PBE)

Data for a relaxed structure of Na4Ga3Si3BH4O12.

a b c (Å): 9.041 9.041 9.041
angles (deg): 90.00 90.00 90.00
Fractional coordinates of all 54 atoms:
Na1 0.172 0.172 0.172
Na2 0.172 0.828 0.828
Na3 0.328 0.328 0.672
Na4 0.328 0.672 0.328
Na5 0.672 0.328 0.328
Na6 0.672 0.672 0.672
Na7 0.828 0.172 0.828
Na8 0.828 0.828 0.172
Ga1 0.000 0.250 0.500
Ga2 0.000 0.750 0.500
Ga3 0.250 0.500 0.000
Ga4 0.500 0.000 0.250
Ga5 0.500 0.000 0.750
Ga6 0.750 0.500 0.000
Si1 0.000 0.500 0.250
Si2 0.000 0.500 0.750
Si3 0.250 0.000 0.500
Si4 0.500 0.250 0.000
Si5 0.500 0.750 0.000
Si6 0.750 0.000 0.500
B1 0.000 0.000 0.000
B2 0.500 0.500 0.500
H1 0.079 0.079 0.921
H2 0.079 0.921 0.079
H3 0.421 0.421 0.421
H4 0.421 0.579 0.579
H5 0.579 0.421 0.579
H6 0.579 0.579 0.421
H7 0.921 0.079 0.079
H8 0.921 0.921 0.921
O1 0.074 0.366 0.651
O2 0.074 0.634 0.349
O3 0.134 0.426 0.151
O4 0.134 0.574 0.849
O5 0.151 0.134 0.426
O6 0.151 0.866 0.574
O7 0.349 0.074 0.634
O8 0.349 0.926 0.366
O9 0.366 0.349 0.926
O10 0.366 0.651 0.074
O11 0.426 0.151 0.134
O12 0.426 0.849 0.866
O13 0.574 0.151 0.866
O14 0.574 0.849 0.134
O15 0.634 0.349 0.074
O16 0.634 0.651 0.926
O17 0.651 0.074 0.366
O18 0.651 0.926 0.634
O19 0.849 0.134 0.574
O20 0.849 0.866 0.426
O21 0.866 0.426 0.849
O22 0.866 0.574 0.151
O23 0.926 0.366 0.349
O24 0.926 0.634 0.651

Values from the calculation:
- maximum piezoelectric response (C/m²) = 0.2
- E (eV/atom) = -5.987
- volume (Å³ per cell) = 739.0
- calculated formation energy (eV per atom) = -2.208

No. 12
## K3SmGa3B12S12I (PBE)

Data for a relaxed structure of K3SmGa3B12S12I.

a b c (Å): 12.999 12.999 9.378
angles (deg): 90.00 90.00 120.00
Fractional coordinates of all 64 atoms:
K1 0.000 0.216 0.000
K2 0.000 0.784 0.500
K3 0.216 0.000 0.000
K4 0.216 0.216 0.500
K5 0.784 0.000 0.500
K6 0.784 0.784 0.000
Sm1 0.333 0.667 0.750
Sm2 0.667 0.333 0.250
Ga1 0.000 0.461 0.500
Ga2 0.000 0.539 0.000
Ga3 0.461 0.000 0.500
Ga4 0.461 0.461 0.000
Ga5 0.539 0.000 0.000
Ga6 0.539 0.539 0.500
B1 0.204 0.536 0.284
B2 0.204 0.668 0.216
B3 0.253 0.589 0.107
B4 0.253 0.664 0.393
B5 0.332 0.536 0.216
B6 0.332 0.796 0.284
B7 0.336 0.589 0.393
B8 0.336 0.747 0.107
B9 0.411 0.664 0.107
B10 0.411 0.747 0.393
B11 0.464 0.668 0.284
B12 0.464 0.796 0.216
B13 0.536 0.204 0.716
B14 0.536 0.332 0.784
B15 0.589 0.253 0.893
B16 0.589 0.336 0.607
B17 0.664 0.253 0.607
B18 0.664 0.411 0.893
B19 0.668 0.204 0.784
B20 0.668 0.464 0.716
B21 0.747 0.336 0.893
B22 0.747 0.411 0.607
B23 0.796 0.332 0.716
B24 0.796 0.464 0.784
S1 0.066 0.394 0.320
S2 0.066 0.672 0.180
S3 0.160 0.507 0.948
S4 0.160 0.653 0.552
S5 0.328 0.394 0.180
S6 0.328 0.934 0.320
S7 0.347 0.507 0.552
S8 0.347 0.840 0.948
S9 0.394 0.066 0.680
S10 0.394 0.328 0.820
S11 0.493 0.653 0.948
S12 0.493 0.840 0.552
S13 0.507 0.160 0.052
S14 0.507 0.347 0.448
S15 0.606 0.672 0.320
S16 0.606 0.934 0.180
S17 0.653 0.160 0.448
S18 0.653 0.493 0.052
S19 0.672 0.066 0.820
S20 0.672 0.606 0.680
S21 0.840 0.347 0.052
S22 0.840 0.493 0.448
S23 0.934 0.328 0.680
S24 0.934 0.606 0.820
I1 0.000 0.000 0.250
I2 0.000 0.000 0.750

Values from the calculation:
- E (eV/atom) = -5.452
- volume (Å³ per cell) = 1372.4
- calculated formation energy (eV per atom) = -1.013